1.
Here is a relaxed Dy3Al2 crystal from Materials Project. Energies are from meta-GGA r2SCAN.

abc: 7.6224 8.1921 8.1921
angles: 90.00 90.00 90.00
Positions (direct):
Dy1 0.0062 0.5000 0.0000
Al1 0.5610 0.1183 0.8817
Al2 0.9514 0.8817 0.1183
Al3 0.4514 0.6183 0.6183
Dy2 0.5062 0.5000 0.0000
Dy3 0.7562 0.2017 0.2017
Dy4 0.2562 0.2983 0.7017
Dy5 0.2562 0.1508 0.1508
Al4 0.0610 0.6183 0.6183
Dy6 0.7562 0.7983 0.7983
Al5 0.4514 0.3817 0.3817
Dy7 0.5062 0.0000 0.5000
Dy8 0.0062 0.0000 0.5000
Dy9 0.7562 0.3492 0.6508
Al6 0.9514 0.1183 0.8817
Dy10 0.7562 0.6508 0.3492
Al7 0.5610 0.8817 0.1183
Dy11 0.2562 0.7017 0.2983
Al8 0.0610 0.3817 0.3817
Dy12 0.2562 0.8492 0.8492

## Properties
For the total DFT energy (no corrections), the calculation gives -22.260 eV per atom. The calculation puts the formation energy at -0.38 eV per atom.

2.
Here is a relaxed VB2 crystal from Materials Project. Energies are from meta-GGA r2SCAN.

abc: 2.9875 2.9875 3.0178
angles: 90.00 90.00 120.00
Positions (direct):
B1 0.6667 0.3333 0.5000
V1 0.0000 0.0000 0.0000
B2 0.3333 0.6667 0.5000

## Properties
For the total DFT energy (no corrections), the calculation gives -10.355 eV per atom. The calculation puts the formation energy at -0.76 eV per atom.

3.
Here is a relaxed PrMgZn2 crystal from Materials Project. Energies are from meta-GGA r2SCAN.

abc: 4.9322 4.9322 4.9322
angles: 60.00 60.00 60.00
Positions (direct):
Pr1 0.7500 0.7500 0.7500
Mg1 0.2500 0.2500 0.2500
Zn1 0.5000 0.5000 0.5000
Zn2 0.0000 0.0000 0.0000

## Properties
For the total DFT energy (no corrections), the calculation gives -13.188 eV per atom. The calculation puts the formation energy at -0.34 eV per atom.

4.
Here is a relaxed Sm3Y5O12 crystal from Materials Project. Energies are from meta-GGA r2SCAN.

abc: 9.2953 9.2954 9.2954
angles: 109.48 109.50 109.44
Positions (direct):
O1 0.4571 0.4861 0.2320
O2 0.9573 0.7270 0.9650
O3 0.2699 0.7542 0.2243
Y1 0.7811 0.2500 0.0311
O4 0.2380 0.7730 0.7303
Sm1 0.4975 0.4991 0.0007
Sm2 0.9984 0.4968 0.4993
Y2 0.2500 0.0324 0.7824
O5 0.5427 0.5077 0.7697
O6 0.9875 0.5249 0.2562
O7 0.2620 0.9923 0.5350
O8 0.9699 0.9582 0.7261
Y3 0.2177 0.7500 0.9677
Sm3 0.4695 0.7195 0.7500
O9 0.7321 0.2437 0.7739
O10 0.4878 0.2320 0.4571
O11 0.0299 0.0457 0.2757
O12 0.7314 0.9751 0.9627
Y4 0.7189 0.7500 0.4689
O13 0.5125 0.7687 0.5373
O14 0.7679 0.5418 0.5117
Y5 0.2500 0.5297 0.2797
Sm4 0.0025 0.0032 0.0016
Sm5 0.0305 0.7805 0.2500
O15 0.7686 0.7313 0.2438
Sm6 0.5016 0.0009 0.4984
Y6 0.2823 0.2500 0.5323
O16 0.0429 0.2749 0.0290
O17 0.7459 0.0139 0.4710
Y7 0.7500 0.4676 0.7176
Y8 0.7500 0.9703 0.2203
O18 0.4701 0.7458 0.0157
O19 0.2251 0.2680 0.7558
Y9 0.9687 0.2187 0.7500
Y10 0.5313 0.2813 0.2500
O20 0.2301 0.4543 0.4843
O21 0.0122 0.4693 0.7442
O22 0.2749 0.0307 0.0429
O23 0.7541 0.2251 0.2680
O24 0.5301 0.2563 0.9883

## Properties
For the total DFT energy (no corrections), the calculation gives -16.959 eV per atom. The calculation puts the formation energy at -3.84 eV per atom.

5.
Here is a relaxed Ce5Sn3 crystal from Materials Project. Energies are from meta-GGA r2SCAN.

abc: 9.4702 9.4702 9.4702
angles: 96.28 96.28 141.36
Positions (direct):
Sn1 0.1598 0.3402 0.5000
Ce1 0.2500 0.7500 0.5000
Sn2 0.8402 0.6598 0.5000
Ce2 0.2806 0.5837 0.8643
Ce3 0.7806 0.9163 0.6969
Sn3 0.2500 0.2500 0.0000
Ce4 0.0837 0.7806 0.8643
Ce5 0.2194 0.0837 0.3031
Sn4 0.6598 0.1598 0.8197
Sn5 0.7500 0.7500 0.0000
Ce6 0.4163 0.2806 0.6969
Sn6 0.3402 0.8402 0.1803
Ce7 0.7194 0.4163 0.1357
Ce8 0.9163 0.2194 0.1357
Ce9 0.7500 0.2500 0.5000
Ce10 0.5837 0.7194 0.3031

## Properties
For the total DFT energy (no corrections), the calculation gives -29.304 eV per atom. The calculation puts the formation energy at -0.75 eV per atom.

6.
Here is a relaxed Ru crystal from Materials Project. Energies are from meta-GGA r2SCAN.

abc: 2.7078 2.7078 4.2681
angles: 90.00 90.00 120.00
Positions (direct):
Ru1 0.3333 0.6667 0.2500
Ru2 0.6667 0.3333 0.7500

## Properties
For the total DFT energy (no corrections), the calculation gives -25.425 eV per atom. The distance to the lowest polymorph of the same formula is 0 meV per atom. The calculation puts the formation energy at 0.00 eV per atom.